VASP calculation (PBE) on an optimized crystal structure of NaTa3InSiP5O24.

Unit cell a=8.814 b=8.815 c=22.862 alpha=89.78 beta=90.10 gamma=120.05
Element x y z (fractional)
Na  0.001  0.000  0.993
Na  0.661  0.331  0.839
Na  0.668  0.334  0.338
Ta  0.995  0.998  0.359
Ta  0.003  0.004  0.648
Ta  0.997  0.001  0.148
Ta  0.665  0.333  0.685
Ta  0.668  0.335  0.188
Ta  0.334  0.666  0.023
Ta  0.333  0.666  0.523
Ta  0.333  0.666  0.308
Ta  0.333  0.666  0.809
In  0.003  0.001  0.855
In  0.667  0.334  0.978
In  0.666  0.335  0.480
Si  0.717  0.713  0.252
Si  0.995  0.282  0.251
Si  0.291  0.286  0.752
P  0.284  0.004  0.252
P  0.995  0.709  0.751
P  0.714  0.004  0.750
P  0.954  0.330  0.582
P  0.375  0.044  0.582
P  0.671  0.626  0.582
P  0.955  0.624  0.083
P  0.668  0.046  0.083
P  0.377  0.330  0.082
P  0.618  0.669  0.916
P  0.049  0.383  0.917
P  0.332  0.950  0.917
P  0.615  0.950  0.416
P  0.334  0.384  0.416
P  0.051  0.668  0.416
O  0.203  0.039  0.306
O  0.843  0.801  0.309
O  0.965  0.158  0.308
O  0.228  0.169  0.810
O  0.943  0.768  0.805
O  0.823  0.049  0.805
O  0.801  0.971  0.697
O  0.165  0.191  0.695
O  0.024  0.828  0.697
O  0.809  0.832  0.194
O  0.030  0.195  0.194
O  0.171  0.972  0.197
O  0.868  0.365  0.635
O  0.499  0.133  0.635
O  0.635  0.500  0.635
O  0.863  0.505  0.137
O  0.641  0.135  0.137
O  0.494  0.357  0.137
O  0.445  0.288  0.028
O  0.843  0.558  0.029
O  0.714  0.157  0.028
O  0.441  0.154  0.527
O  0.713  0.560  0.527
O  0.846  0.289  0.527
O  0.519  0.675  0.973
O  0.157  0.483  0.973
O  0.328  0.843  0.973
O  0.527  0.839  0.472
O  0.311  0.472  0.471
O  0.162  0.687  0.472
O  0.146  0.651  0.362
O  0.504  0.857  0.362
O  0.352  0.498  0.361
O  0.149  0.491  0.861
O  0.340  0.852  0.861
O  0.510  0.661  0.861
O  0.045  0.840  0.408
O  0.796  0.958  0.409
O  0.165  0.203  0.408
O  0.039  0.206  0.918
O  0.162  0.954  0.919
O  0.795  0.838  0.917
O  0.982  0.174  0.597
O  0.190  0.011  0.598
O  0.822  0.808  0.598
O  0.989  0.811  0.095
O  0.826  0.015  0.094
O  0.191  0.172  0.094
O  0.687  0.162  0.736
O  0.488  0.320  0.736
O  0.844  0.521  0.735
O  0.690  0.517  0.240
O  0.821  0.299  0.240
O  0.468  0.166  0.241
O  0.625  0.499  0.916
O  0.873  0.377  0.917
O  0.501  0.128  0.917
O  0.638  0.132  0.418
O  0.496  0.366  0.417
O  0.870  0.507  0.418
O  0.359  0.496  0.075
O  0.137  0.639  0.075
O  0.504  0.861  0.075
O  0.359  0.861  0.573
O  0.502  0.640  0.573
O  0.139  0.495  0.573
O  0.305  0.843  0.261
O  0.528  0.697  0.262
O  0.162  0.476  0.262
O  0.311  0.481  0.760
O  0.163  0.696  0.759
O  0.528  0.842  0.759

Results
E (MP2020)   -8.404 eV per atom

VASP calculation (PBE) on an optimized crystal structure of TbMgB5O10.

Unit cell a=7.660 b=8.642 c=12.384 alpha=49.29 beta=90.00 gamma=90.00
Element x y z (fractional)
Tb  0.191  0.946  0.241
Tb  0.809  0.054  0.759
Tb  0.691  0.054  0.259
Tb  0.309  0.946  0.741
Mg  0.909  0.526  0.372
Mg  0.091  0.474  0.628
Mg  0.409  0.474  0.128
Mg  0.591  0.526  0.872
B  0.827  0.912  0.104
B  0.173  0.088  0.896
B  0.327  0.088  0.396
B  0.673  0.912  0.604
B  0.576  0.658  0.259
B  0.424  0.342  0.741
B  0.076  0.342  0.241
B  0.924  0.658  0.759
B  0.813  0.478  0.088
B  0.187  0.522  0.912
B  0.313  0.522  0.412
B  0.687  0.478  0.588
B  0.468  0.722  0.556
B  0.532  0.278  0.444
B  0.968  0.278  0.944
B  0.032  0.722  0.056
B  0.598  0.846  0.996
B  0.402  0.154  0.004
B  0.098  0.154  0.504
B  0.902  0.846  0.496
O  0.913  0.313  0.194
O  0.087  0.687  0.806
O  0.413  0.687  0.306
O  0.587  0.313  0.694
O  0.874  0.674  0.009
O  0.126  0.326  0.991
O  0.374  0.326  0.491
O  0.626  0.674  0.509
O  0.391  0.907  0.419
O  0.609  0.093  0.581
O  0.891  0.093  0.081
O  0.109  0.907  0.919
O  0.711  0.803  0.231
O  0.289  0.197  0.769
O  0.211  0.197  0.269
O  0.789  0.803  0.731
O  0.651  0.424  0.073
O  0.349  0.576  0.927
O  0.151  0.576  0.427
O  0.849  0.424  0.573
O  0.772  0.973  0.480
O  0.228  0.027  0.520
O  0.272  0.027  0.020
O  0.728  0.973  0.980
O  0.650  0.453  0.365
O  0.350  0.547  0.635
O  0.150  0.547  0.135
O  0.850  0.453  0.865
O  0.531  0.689  0.128
O  0.469  0.311  0.872
O  0.031  0.311  0.372
O  0.969  0.689  0.628
O  0.953  0.882  0.376
O  0.047  0.118  0.624
O  0.453  0.118  0.124
O  0.547  0.882  0.876
O  0.972  0.767  0.148
O  0.028  0.233  0.852
O  0.472  0.233  0.352
O  0.528  0.767  0.648

Results
E (MP2020)   -8.348 eV per atom

VASP calculation (PBE) on an optimized crystal structure of CeYMg6.

Unit cell a=6.666 b=6.666 c=5.249 alpha=90.00 beta=90.00 gamma=118.07
Element x y z (fractional)
Ce  0.341  0.159  0.750
Y  0.163  0.337  0.250
Mg  0.154  0.830  0.250
Mg  0.670  0.346  0.250
Mg  0.657  0.843  0.250
Mg  0.335  0.661  0.750
Mg  0.839  0.165  0.750
Mg  0.841  0.659  0.750

Number 1: energy of formation from the pure elements -2.9499 eV per atom, E_tot -7.93 eV per atom, total magnetic moment 0.00 μB per cell. Number 2: energy of formation from the pure elements -3.1061 eV per atom, E_tot -7.94 eV per atom, total magnetic moment 0.00 μB per cell. Number 3: energy of formation from the pure elements 0.0645 eV per atom, E_tot -2.69 eV per atom, total magnetic moment 0.04 μB per cell.